Run one
MnZn2SiH2O6 PBE+U optimized geometry; space-group type = P2_1/c, No. 14
1.0
5.371 0.000 0.000
0.000 8.321 0.000
0.000 1.148 11.827
Mn Zn Si H O
4 8 4 8 24
direct
0.255 0.607 0.456
0.755 0.893 0.544
0.745 0.393 0.544
0.245 0.107 0.456
0.434 0.773 0.921
0.934 0.727 0.079
0.566 0.227 0.079
0.066 0.273 0.921
0.436 0.111 0.751
0.936 0.389 0.249
0.564 0.889 0.249
0.064 0.611 0.751
0.432 0.568 0.171
0.932 0.932 0.829
0.568 0.432 0.829
0.068 0.068 0.171
0.279 0.911 0.641
0.779 0.589 0.359
0.721 0.089 0.359
0.221 0.411 0.641
0.459 0.360 0.367
0.959 0.140 0.633
0.541 0.640 0.633
0.041 0.860 0.367
0.426 0.609 0.807
0.926 0.891 0.193
0.574 0.391 0.193
0.074 0.109 0.807
0.462 0.663 0.286
0.962 0.837 0.714
0.538 0.337 0.714
0.038 0.163 0.286
0.430 0.319 0.933
0.930 0.181 0.067
0.570 0.681 0.067
0.070 0.819 0.933
0.363 0.038 0.139
0.863 0.462 0.861
0.637 0.962 0.861
0.137 0.538 0.139
0.410 0.989 0.618
0.910 0.511 0.382
0.590 0.011 0.382
0.090 0.489 0.618
0.404 0.351 0.445
0.904 0.149 0.555
0.596 0.649 0.555
0.096 0.851 0.445

Run two
MnZn2SiH2O6 PBE+U optimized geometry; space-group type = P2_1/c, No. 14
1.0
5.318 0.000 0.000
0.000 8.892 0.000
0.000 1.882 11.514
Mn Zn Si H O
4 8 4 8 24
direct
0.859 0.010 0.611
0.359 0.490 0.389
0.141 0.990 0.389
0.641 0.510 0.611
0.611 0.589 0.106
0.111 0.911 0.894
0.389 0.411 0.894
0.889 0.089 0.106
0.645 0.805 0.330
0.145 0.695 0.670
0.355 0.195 0.670
0.855 0.305 0.330
0.662 0.693 0.845
0.162 0.807 0.155
0.338 0.307 0.155
0.838 0.193 0.845
0.872 0.555 0.385
0.372 0.945 0.615
0.128 0.445 0.615
0.628 0.055 0.385
0.409 0.092 0.076
0.909 0.408 0.924
0.591 0.908 0.924
0.091 0.592 0.076
0.520 0.377 0.248
0.020 0.123 0.752
0.480 0.623 0.752
0.980 0.877 0.248
0.496 0.996 0.664
0.996 0.504 0.336
0.504 0.004 0.336
0.004 0.496 0.664
0.511 0.182 0.093
0.011 0.318 0.907
0.489 0.818 0.907
0.989 0.682 0.093
0.574 0.277 0.800
0.074 0.223 0.200
0.426 0.723 0.200
0.926 0.777 0.800
0.638 0.625 0.441
0.138 0.875 0.559
0.362 0.375 0.559
0.862 0.125 0.441
0.713 0.541 0.946
0.213 0.959 0.054
0.287 0.459 0.054
0.787 0.041 0.946

The winner here is run one, beating the second structure by 124 meV per atom.

Run one
MoH2O4 PBE+U optimized geometry; space-group type = P1, No. 1
1.0
3.764 0.000 0.000
1.620 6.218 0.000
1.324 2.688 7.101
Mo H O
2 4 8
direct
0.265 0.153 0.791
0.744 0.869 0.202
0.536 0.778 0.658
0.935 0.463 0.113
0.269 0.668 0.830
0.511 0.211 0.316
0.326 0.249 0.548
0.697 0.754 0.443
0.251 0.920 0.117
0.775 0.066 0.863
0.137 0.408 0.838
0.887 0.588 0.162
0.416 0.789 0.779
0.612 0.183 0.198

Run two
MoH2O4 PBE+U optimized geometry; space-group type = P-1, No. 2
1.0
-0.200 2.014 3.133
-6.107 2.344 -0.111
-5.014 -4.320 3.891
Mo H O
2 4 8
direct
0.252 0.156 0.796
0.748 0.844 0.204
0.532 0.782 0.671
0.257 0.668 0.840
0.743 0.332 0.160
0.468 0.218 0.329
0.308 0.243 0.551
0.692 0.757 0.449
0.236 0.935 0.126
0.764 0.065 0.874
0.136 0.411 0.828
0.864 0.589 0.172
0.405 0.789 0.793
0.595 0.211 0.207

The winner here is run two, beating the second structure by 48 meV per atom.

Run one
MoH2O4 PBE+U optimized geometry; space-group type = P1, No. 1
1.0
3.827 0.000 0.000
1.481 5.938 0.000
1.034 2.513 7.152
Mo H O
2 4 8
direct
0.294 0.133 0.784
0.775 0.878 0.202
0.079 0.512 0.917
0.723 0.456 0.163
0.488 0.756 0.699
0.426 0.221 0.311
0.335 0.240 0.545
0.744 0.758 0.441
0.241 0.926 0.134
0.763 0.087 0.866
0.124 0.425 0.827
0.844 0.595 0.141
0.371 0.801 0.807
0.589 0.212 0.202

Run two
MoH2O4 PBE+U optimized geometry; maximum piezoelectric response = 0.050 C/m2; space-group type = P1, No. 1
1.0
-0.927 -3.416 -1.306
3.001 -4.284 4.265
-4.427 -2.712 5.611
Mo H O
2 4 8
direct
0.270 0.156 0.795
0.740 0.833 0.202
0.504 0.215 0.324
0.508 0.775 0.672
0.275 0.684 0.878
0.762 0.297 0.124
0.345 0.254 0.542
0.663 0.736 0.454
0.235 0.922 0.125
0.775 0.066 0.872
0.133 0.396 0.837
0.879 0.591 0.162
0.421 0.800 0.794
0.596 0.190 0.202

Run three
MoH2O4 PBE+U optimized geometry; space-group type = P-1, No. 2
1.0
-3.763 0.000 0.000
1.744 6.112 0.000
-0.256 -3.012 -6.990
Mo H O
2 4 8
direct
0.276 0.082 0.214
0.724 0.918 0.786
0.026 0.589 0.145
0.974 0.411 0.855
0.499 0.533 0.313
0.501 0.467 0.687
0.325 0.206 0.459
0.675 0.794 0.541
0.237 0.949 0.868
0.763 0.051 0.132
0.121 0.760 0.179
0.879 0.240 0.821
0.407 0.390 0.194
0.593 0.610 0.806

Run four
MoH2O4 PBE+U optimized geometry; space-group type = P1, No. 1
1.0
-3.290 3.265 -6.203
2.321 -6.004 -1.008
-3.451 -0.414 1.456
Mo H O
2 4 8
direct
0.796 0.948 0.738
0.208 0.079 0.274
0.121 0.591 0.043
0.894 0.528 0.536
0.671 0.439 0.475
0.314 0.525 0.494
0.551 0.789 0.670
0.453 0.212 0.332
0.127 0.044 0.761
0.876 0.943 0.230
0.827 0.239 0.881
0.181 0.764 0.116
0.793 0.581 0.563
0.191 0.383 0.417

The winner here is run two, beating the second structure by 55 meV per atom.

Run one
Mo2H2O7 PBE+U optimized geometry; space-group type = P2_1, No. 4
1.0
-1.180 3.467 1.044
-6.964 -1.867 -1.676
-3.470 -3.603 8.038
Mo H O
4 4 14
direct
0.251 0.816 0.975
0.751 0.184 0.025
0.717 0.833 0.440
0.217 0.167 0.560
0.950 0.688 0.718
0.450 0.312 0.282
0.858 0.599 0.296
0.358 0.401 0.704
0.764 0.714 0.644
0.264 0.286 0.356
0.225 0.645 0.880
0.725 0.355 0.120
0.751 0.900 0.967
0.251 0.100 0.033
0.242 0.687 0.154
0.742 0.313 0.846
0.247 0.890 0.470
0.747 0.110 0.530
0.268 0.024 0.739
0.768 0.976 0.261
0.755 0.605 0.391
0.255 0.395 0.609

Run two
Mo2H2O7 PBE+U optimized geometry; space-group type = P2_1/m, No. 11
1.0
3.780 0.000 0.000
0.000 7.520 0.000
0.000 2.521 9.300
Mo H O
4 4 14
direct
0.250 0.817 0.973
0.750 0.183 0.027
0.750 0.840 0.441
0.250 0.160 0.559
0.750 0.669 0.742
0.250 0.331 0.258
0.750 0.614 0.292
0.250 0.386 0.708
0.750 0.706 0.637
0.250 0.294 0.363
0.250 0.649 0.879
0.750 0.351 0.121
0.750 0.900 0.964
0.250 0.100 0.036
0.250 0.684 0.149
0.750 0.316 0.851
0.250 0.903 0.467
0.750 0.097 0.533
0.250 0.027 0.741
0.750 0.973 0.259
0.750 0.615 0.394
0.250 0.385 0.606

The winner here is run one, beating the second structure by 11 meV per atom.

Run one
Na2NiH8S2O12 PBE+U optimized geometry; space-group type = P2_1/c, No. 14
1.0
-4.436 6.395 -2.764
-1.991 -3.164 -4.126
-9.060 -4.143 4.953
Na Ni H S O
4 2 16 4 24
direct
0.071 0.123 0.639
0.571 0.877 0.861
0.929 0.877 0.361
0.429 0.123 0.139
0.000 0.000 0.000
0.500 0.000 0.500
0.944 0.766 0.821
0.444 0.234 0.679
0.056 0.234 0.179
0.556 0.766 0.321
0.136 0.773 0.847
0.636 0.227 0.653
0.864 0.227 0.153
0.364 0.773 0.347
0.307 0.678 0.640
0.807 0.322 0.860
0.693 0.322 0.360
0.193 0.678 0.140
0.225 0.764 0.515
0.725 0.236 0.985
0.775 0.236 0.485
0.275 0.764 0.015
0.286 0.376 0.864
0.786 0.624 0.636
0.714 0.624 0.136
0.214 0.376 0.364
0.275 0.363 0.730
0.775 0.637 0.770
0.725 0.637 0.270
0.225 0.363 0.230
0.414 0.213 0.922
0.914 0.787 0.578
0.586 0.787 0.078
0.086 0.213 0.422
0.126 0.315 0.923
0.626 0.685 0.577
0.874 0.685 0.077
0.374 0.315 0.423
0.322 0.638 0.874
0.822 0.362 0.626
0.678 0.362 0.126
0.178 0.638 0.374
0.035 0.873 0.839
0.535 0.127 0.661
0.965 0.127 0.161
0.465 0.873 0.339
0.287 0.827 0.579
0.787 0.173 0.921
0.713 0.173 0.421
0.213 0.827 0.079

Run two
Na2NiH8S2O12 PBE+U optimized geometry; space-group type = P2_1/c, No. 14
1.0
7.434 0.000 -0.602
0.000 7.117 0.000
1.083 0.000 12.855
Na Ni H S O
4 2 16 4 24
direct
0.872 0.607 0.165
0.128 0.107 0.335
0.128 0.393 0.835
0.872 0.893 0.665
0.000 0.500 0.500
0.000 0.000 0.000
0.301 0.649 0.953
0.699 0.149 0.547
0.699 0.351 0.047
0.301 0.851 0.453
0.459 0.817 0.173
0.541 0.317 0.327
0.541 0.183 0.827
0.459 0.683 0.673
0.272 0.703 0.367
0.728 0.203 0.133
0.355 0.373 0.365
0.645 0.873 0.135
0.645 0.627 0.635
0.355 0.127 0.865
0.728 0.297 0.633
0.272 0.797 0.867
0.747 0.777 0.377
0.253 0.277 0.123
0.253 0.223 0.623
0.747 0.723 0.877
0.162 0.118 0.539
0.838 0.882 0.461
0.594 0.837 0.911
0.162 0.382 0.039
0.406 0.163 0.089
0.594 0.663 0.411
0.236 0.672 0.890
0.764 0.172 0.610
0.764 0.328 0.110
0.236 0.828 0.390
0.890 0.992 0.856
0.110 0.492 0.644
0.110 0.008 0.144
0.890 0.508 0.356
0.916 0.551 0.634
0.084 0.051 0.866
0.084 0.449 0.366
0.916 0.949 0.134
0.578 0.765 0.161
0.422 0.265 0.339
0.422 0.235 0.839
0.578 0.735 0.661
0.406 0.337 0.589
0.838 0.618 0.961

The winner here is run one, beating the second structure by 447 meV per atom.